1.
Compound: Li5Ti3Mn2P6O24
Source: Materials Project
Functional: GGA+U
Structure: relaxed

```
Li5Ti3Mn2P6O24
1.0
-0.299 -3.947 7.556
7.210 -3.880 2.665
4.306 3.671 6.487
O Li P Ti Mn
24 5 6 3 2
Cartesian
0.753 -0.819 4.195
5.167 -2.438 10.516
9.265 -2.824 10.560
3.927 -2.846 4.535
3.906 -3.087 7.275
7.002 -6.214 8.732
4.117 -0.484 7.767
4.389 0.090 4.847
2.018 -1.282 6.345
6.055 -1.735 6.134
9.340 0.244 8.856
7.033 1.398 8.889
3.563 -1.436 12.170
6.828 -4.375 11.744
7.739 -2.787 4.533
1.874 -4.273 7.986
3.514 0.513 9.940
7.074 -3.710 8.965
2.782 -3.133 10.365
8.441 -1.053 6.304
7.145 -1.327 12.316
7.268 -1.016 9.490
4.333 2.042 8.020
4.215 -5.446 7.953
4.867 -0.243 11.092
8.960 -1.627 8.069
9.407 -3.475 14.055
5.378 -5.238 9.482
2.329 -2.232 8.399
7.843 -4.957 8.371
3.248 -4.530 7.245
3.881 -2.740 11.384
3.488 0.797 8.448
7.365 -1.472 5.320
7.970 0.401 9.579
4.001 -1.484 5.938
7.295 -2.679 10.859
1.637 -0.632 2.444
5.652 -2.046 8.258
11.457 -0.266 9.155
```

Calculated values
magnetic moment = 13.0 Bohr magnetons per cell
energy = -292.94 eV for the cell shown
E_form = -265 kJ per mole of atoms
crystal system = triclinic

=====

2.
Compound: LiCoNiO4
Source: Materials Project
Functional: GGA+U
Structure: relaxed

```
LiCoNiO4
1.0
-0.106 -3.035 4.933
-2.264 4.451 2.936
-2.496 -2.079 -4.797
Co O Ni Li
2 8 2 2
Cartesian
-1.132 2.226 1.468
-1.248 -1.039 -2.398
-1.774 2.599 3.213
-1.862 0.888 5.895
-1.984 -2.373 2.052
-3.004 -1.551 -2.822
-3.185 0.107 3.645
-2.882 1.710 1.021
-1.681 -0.770 -0.572
-3.092 -3.262 -0.140
0.000 0.000 0.000
-1.301 -2.557 0.068
-1.185 0.708 3.935
-2.380 1.186 -0.930
```

Calculated values
magnetic moment = 0.0 Bohr magnetons per cell
polymorph energy (0 for the lowest one) = 63 meV per atom
energy = -73.68 eV for the cell shown
E_form = -126 kJ per mole of atoms
crystal system = orthorhombic